VASP calculation (GGA+U) on MgCo4Ag4O8 after structural relaxation.

Unit cell a=3.0572 b=3.0572 c=26.7177 alpha=90.17 beta=90.17 gamma=60.60
Fractional positions:
Mg (0.0000, 0.0000, 0.0000)
Co (0.0009, 0.0009, 0.4478)
Co (0.0016, 0.0016, 0.2140)
Co (0.3351, 0.3351, 0.6799)
Co (0.3403, 0.3403, 0.9058)
Ag (0.0033, 0.0033, 0.7958)
Ag (0.3252, 0.3252, 0.3311)
Ag (0.6667, 0.6667, 0.0932)
Ag (0.6730, 0.6730, 0.5641)
O (0.0028, 0.0028, 0.7174)
O (0.0051, 0.0051, 0.8753)
O (0.3276, 0.3276, 0.4101)
O (0.3313, 0.3313, 0.2522)
O (0.6640, 0.6640, 0.9675)
O (0.6677, 0.6677, 0.6425)
O (0.6736, 0.6736, 0.4856)
O (0.6756, 0.6756, 0.1767)

- Magnetization: 0.872 μB/atom
- Distance to the lowest polymorph of the same formula: 11 meV per atom
- SG: No. 8

VASP calculation (GGA+U) on Li4V2Cr3Sn3O16 after structural relaxation.

Unit cell a=6.0996 b=6.0996 c=9.6392 alpha=90.51 beta=90.51 gamma=60.36
Fractional positions:
Li (0.0000, 0.0000, 0.0000)
Li (0.0059, 0.0059, 0.4894)
Li (0.3225, 0.3225, 0.3861)
Li (0.6581, 0.6581, 0.8974)
V (0.3159, 0.3159, 0.9958)
V (0.6544, 0.6544, 0.4834)
Cr (0.1626, 0.1626, 0.7132)
Cr (0.3370, 0.8157, 0.2136)
Cr (0.8157, 0.3370, 0.2136)
Sn (0.1624, 0.6549, 0.7123)
Sn (0.6549, 0.1624, 0.7123)
Sn (0.8226, 0.8226, 0.2127)
O (0.0366, 0.4658, 0.8440)
O (0.1639, 0.6590, 0.0923)
O (0.1696, 0.1696, 0.0955)
O (0.3214, 0.3214, 0.5974)
O (0.3207, 0.8311, 0.5987)
O (0.4658, 0.0366, 0.8440)
O (0.4716, 0.4716, 0.8481)
O (0.5058, 0.9527, 0.3408)
O (0.5130, 0.5130, 0.3342)
O (0.6545, 0.6545, 0.1021)
O (0.6590, 0.1639, 0.0923)
O (0.8305, 0.8305, 0.5932)
O (0.8311, 0.3207, 0.5987)
O (0.9527, 0.5058, 0.3408)
O (0.9983, 0.9983, 0.8149)
O (0.9985, 0.9985, 0.3040)

- Magnetization: 0.429 μB/atom
- SG: No. 8
- Total energy: -6.78 eV/atom

VASP calculation (GGA+U) on KMnF3 after structural relaxation.

Unit cell a=4.2603 b=4.2603 c=4.2603 alpha=90.00 beta=90.00 gamma=90.00
Fractional positions:
K (0.0000, 0.0000, 0.0000)
Mn (0.5000, 0.5000, 0.5000)
F (0.0000, 0.5000, 0.5000)
F (0.5000, 0.0000, 0.5000)
F (0.5000, 0.5000, 0.0000)

- SG: No. 221
- Total energy: -5.61 eV/atom

VASP calculation (GGA+U) on Ca3ScFeSi3O12 after structural relaxation.

Unit cell a=10.5834 b=10.5834 c=10.5834 alpha=109.47 beta=109.47 gamma=109.47
Fractional positions:
Ca (0.1239, 0.3739, 0.7500)
Ca (0.1261, 0.2500, 0.3761)
Ca (0.2500, 0.3761, 0.1261)
Ca (0.2500, 0.8761, 0.6261)
Ca (0.3739, 0.7500, 0.1239)
Ca (0.3761, 0.1261, 0.2500)
Ca (0.6239, 0.8739, 0.7500)
Ca (0.6261, 0.2500, 0.8761)
Ca (0.7500, 0.1239, 0.3739)
Ca (0.7500, 0.6239, 0.8739)
Ca (0.8739, 0.7500, 0.6239)
Ca (0.8761, 0.6261, 0.2500)
Sc (0.0000, 0.0000, 0.0000)
Sc (0.0000, 0.5000, 0.5000)
Sc (0.5000, 0.0000, 0.5000)
Sc (0.5000, 0.5000, 0.0000)
Fe (0.0000, 0.0000, 0.5000)
Fe (0.0000, 0.5000, 0.0000)
Fe (0.5000, 0.0000, 0.0000)
Fe (0.5000, 0.5000, 0.5000)
Si (0.1234, 0.8734, 0.2500)
Si (0.1266, 0.7500, 0.8766)
Si (0.2500, 0.1234, 0.8734)
Si (0.2500, 0.6234, 0.3734)
Si (0.3734, 0.2500, 0.6234)
Si (0.3766, 0.6266, 0.7500)
Si (0.6234, 0.3734, 0.2500)
Si (0.6266, 0.7500, 0.3766)
Si (0.7500, 0.3766, 0.6266)
Si (0.7500, 0.8766, 0.1266)
Si (0.8734, 0.2500, 0.1234)
Si (0.8766, 0.1266, 0.7500)
O (0.0090, 0.3076, 0.8933)
O (0.0103, 0.2090, 0.1178)
O (0.0857, 0.8843, 0.3933)
O (0.0912, 0.7090, 0.6987)
O (0.1067, 0.9910, 0.6924)
O (0.1075, 0.6178, 0.4088)
O (0.1157, 0.6067, 0.9143)
O (0.1178, 0.0103, 0.2090)
O (0.1924, 0.2014, 0.5857)
O (0.1987, 0.4897, 0.6075)
O (0.2014, 0.5857, 0.1924)
O (0.2090, 0.1178, 0.0103)
O (0.2910, 0.3013, 0.9088)
O (0.2986, 0.4910, 0.3843)
O (0.3013, 0.9088, 0.2910)
O (0.3076, 0.8933, 0.0090)
O (0.3822, 0.5912, 0.8925)
O (0.3843, 0.2986, 0.4910)
O (0.3925, 0.8013, 0.5103)
O (0.3933, 0.0857, 0.8843)
O (0.4088, 0.1075, 0.6178)
O (0.4143, 0.8076, 0.7986)
O (0.4897, 0.6075, 0.1987)
O (0.4910, 0.3843, 0.2986)
O (0.5090, 0.6157, 0.7014)
O (0.5103, 0.3925, 0.8013)
O (0.5857, 0.1924, 0.2014)
O (0.5912, 0.8925, 0.3822)
O (0.6067, 0.9143, 0.1157)
O (0.6075, 0.1987, 0.4897)
O (0.6157, 0.7014, 0.5090)
O (0.6178, 0.4088, 0.1075)
O (0.6924, 0.1067, 0.9910)
O (0.6987, 0.0912, 0.7090)
O (0.7014, 0.5090, 0.6157)
O (0.7090, 0.6987, 0.0912)
O (0.7910, 0.8822, 0.9897)
O (0.7986, 0.4143, 0.8076)
O (0.8013, 0.5103, 0.3925)
O (0.8076, 0.7986, 0.4143)
O (0.8822, 0.9897, 0.7910)
O (0.8843, 0.3933, 0.0857)
O (0.8925, 0.3822, 0.5912)
O (0.8933, 0.0090, 0.3076)
O (0.9088, 0.2910, 0.3013)
O (0.9143, 0.1157, 0.6067)
O (0.9897, 0.7910, 0.8822)
O (0.9910, 0.6924, 0.1067)

- Magnetization: 0.250 μB/atom
- SG: No. 206
- Total energy: -7.60 eV/atom

VASP calculation (GGA+U) on Fe5Te6Cl2O18 after structural relaxation.

Unit cell a=4.9761 b=9.3619 c=10.6396 alpha=106.04 beta=90.80 gamma=104.02
Fractional positions:
Fe (0.0000, 0.0000, 0.0000)
Fe (0.2931, 0.5861, 0.5458)
Fe (0.4919, 0.9158, 0.6983)
Fe (0.5081, 0.0842, 0.3017)
Fe (0.7069, 0.4139, 0.4542)
Te (0.0884, 0.1988, 0.5693)
Te (0.1804, 0.3505, 0.2028)
Te (0.4095, 0.7660, 0.1072)
Te (0.5905, 0.2340, 0.8928)
Te (0.8196, 0.6495, 0.7972)
Te (0.9116, 0.8012, 0.4307)
Cl (0.2392, 0.4468, 0.8679)
Cl (0.7608, 0.5532, 0.1321)
O (0.0618, 0.4669, 0.3691)
O (0.0954, 0.8418, 0.8340)
O (0.2038, 0.7820, 0.5453)
O (0.2120, 0.0577, 0.4307)
O (0.2714, 0.9478, 0.1240)
O (0.2989, 0.1814, 0.9997)
O (0.3695, 0.3836, 0.5559)
O (0.4141, 0.1239, 0.7209)
O (0.4572, 0.2904, 0.2903)
O (0.5428, 0.7096, 0.7097)
O (0.5859, 0.8761, 0.2791)
O (0.6305, 0.6164, 0.4441)
O (0.7011, 0.8186, 0.0003)
O (0.7286, 0.0522, 0.8760)
O (0.7880, 0.9423, 0.5693)
O (0.7962, 0.2180, 0.4547)
O (0.9046, 0.1582, 0.1660)
O (0.9382, 0.5331, 0.6309)

- Magnetization: 0.774 μB/atom
- SG: No. 2
- Total energy: -5.70 eV/atom

VASP calculation (GGA+U) on MgCr2O4 after structural relaxation.

Unit cell a=6.0001 b=6.0001 c=20.0853 alpha=100.24 beta=100.24 gamma=59.78
Fractional positions:
Mg (0.0000, 0.0000, 0.0000)
Mg (0.1267, 0.1267, 0.8751)
Mg (0.2523, 0.2523, 0.7498)
Mg (0.2801, 0.2801, 0.3445)
Mg (0.3772, 0.3772, 0.6244)
Mg (0.5022, 0.5022, 0.4997)
Mg (0.5286, 0.5286, 0.0929)
Mg (0.7489, 0.7489, 0.2498)
Cr (0.0003, 0.5031, 0.0001)
Cr (0.0053, 0.5029, 0.4989)
Cr (0.0325, 0.0325, 0.5937)
Cr (0.2259, 0.2259, 0.1547)
Cr (0.2519, 0.7517, 0.7498)
Cr (0.2562, 0.7505, 0.2494)
Cr (0.4730, 0.4730, 0.9074)
Cr (0.5031, 0.0003, 0.0001)
Cr (0.5029, 0.0053, 0.4989)
Cr (0.6273, 0.6273, 0.3725)
Cr (0.7227, 0.7227, 0.6564)
Cr (0.7505, 0.2562, 0.2494)
Cr (0.7517, 0.2519, 0.7498)
Cr (0.7800, 0.7800, 0.8424)
Cr (0.8773, 0.8773, 0.1229)
Cr (0.9763, 0.9763, 0.4039)
O (0.0531, 0.0531, 0.1911)
O (0.0572, 0.0572, 0.6933)
O (0.0570, 0.5876, 0.1872)
O (0.0834, 0.5567, 0.6886)
O (0.1553, 0.7018, 0.0606)
O (0.1946, 0.1946, 0.5544)
O (0.1952, 0.6740, 0.5600)
O (0.1958, 0.1958, 0.0565)
O (0.3061, 0.8325, 0.9400)
O (0.3100, 0.3100, 0.9447)
O (0.3142, 0.3142, 0.4456)
O (0.3390, 0.8086, 0.4364)
O (0.4195, 0.9466, 0.8104)
O (0.4466, 0.4466, 0.8062)
O (0.4491, 0.9090, 0.3108)
O (0.4508, 0.4508, 0.3084)
O (0.5567, 0.0834, 0.6886)
O (0.5592, 0.5592, 0.6937)
O (0.5605, 0.5605, 0.1944)
O (0.5876, 0.0570, 0.1872)
O (0.6740, 0.1952, 0.5600)
O (0.6963, 0.6963, 0.5552)
O (0.7012, 0.7012, 0.0589)
O (0.7018, 0.1553, 0.0606)
O (0.8023, 0.8023, 0.4396)
O (0.8043, 0.8043, 0.9418)
O (0.8086, 0.3390, 0.4364)
O (0.8325, 0.3061, 0.9400)
O (0.9090, 0.4491, 0.3108)
O (0.9430, 0.9430, 0.3057)
O (0.9459, 0.9459, 0.8057)
O (0.9466, 0.4195, 0.8104)

- Magnetization: 0.857 μB/atom
- Distance to the lowest polymorph of the same formula: 168 meV per atom
- SG: No. 8

VASP calculation (GGA+U) on KSmEuWO6 after structural relaxation.

Unit cell a=8.4351 b=8.4361 c=8.4753 alpha=90.00 beta=90.00 gamma=90.00
Fractional positions:
K (0.2500, 0.2500, 0.2500)
K (0.2500, 0.7500, 0.2500)
K (0.7500, 0.2500, 0.7500)
K (0.7500, 0.7500, 0.7500)
Sm (0.0000, 0.0000, 0.0000)
Sm (0.0000, 0.5000, 0.5000)
Sm (0.5000, 0.0000, 0.5000)
Sm (0.5000, 0.5000, 0.0000)
Eu (0.2500, 0.2500, 0.7500)
Eu (0.2500, 0.7500, 0.7500)
Eu (0.7500, 0.2500, 0.2500)
Eu (0.7500, 0.7500, 0.2500)
W (0.0000, 0.0000, 0.5000)
W (0.0000, 0.5000, 0.0000)
W (0.5000, 0.0000, 0.0000)
W (0.5000, 0.5000, 0.5000)
O (0.0220, 0.2291, 0.4746)
O (0.0220, 0.2709, 0.0254)
O (0.0365, 0.0245, 0.7301)
O (0.0365, 0.4755, 0.7699)
O (0.2289, 0.5271, 0.0161)
O (0.2289, 0.9729, 0.4839)
O (0.2711, 0.5271, 0.4839)
O (0.2711, 0.9729, 0.0161)
O (0.4635, 0.0245, 0.7699)
O (0.4635, 0.4755, 0.7301)
O (0.4780, 0.2291, 0.0254)
O (0.4780, 0.2709, 0.4746)
O (0.5220, 0.7291, 0.5254)
O (0.5220, 0.7709, 0.9746)
O (0.5365, 0.5245, 0.2699)
O (0.5365, 0.9755, 0.2301)
O (0.7289, 0.0271, 0.9839)
O (0.7289, 0.4729, 0.5161)
O (0.7711, 0.0271, 0.5161)
O (0.7711, 0.4729, 0.9839)
O (0.9635, 0.5245, 0.2301)
O (0.9635, 0.9755, 0.2699)
O (0.9780, 0.7291, 0.9746)
O (0.9780, 0.7709, 0.5254)

- Magnetization: 0.700 μB/atom
- Distance to the lowest polymorph of the same formula: 0 meV per atom
- SG: No. 48

VASP calculation (GGA+U) on CaNi4O8 after structural relaxation.

Unit cell a=5.7153 b=9.8994 c=6.4891 alpha=104.73 beta=63.87 gamma=90.00
Fractional positions:
Ni (0.2500, 0.2500, 0.0000)
Ni (0.5000, 0.0000, 0.0000)
Ni (0.7500, 0.2500, 0.0000)
Ni (0.2500, 0.7500, 0.0000)
Ni (0.5000, 0.5000, 0.0000)
Ni (0.0000, 0.5000, 0.0000)
Ni (0.7500, 0.7500, 0.0000)
Ni (0.0000, 0.0000, 0.0000)
O (0.3565, 0.8812, 0.8201)
O (0.8565, 0.3812, 0.8201)
O (0.1435, 0.6188, 0.1799)
O (0.9100, 0.8523, 0.1799)
O (0.0858, 0.6381, 0.8285)
O (0.1765, 0.1188, 0.1799)
O (0.3235, 0.3812, 0.8201)
O (0.4100, 0.3523, 0.1799)
O (0.4142, 0.8619, 0.1715)
O (0.6435, 0.1188, 0.1799)
O (0.0900, 0.1477, 0.8201)
O (0.8235, 0.8812, 0.8201)
O (0.9143, 0.3619, 0.1715)
O (0.5900, 0.6477, 0.8201)
O (0.5857, 0.1381, 0.8285)
O (0.6765, 0.6188, 0.1799)
Ca (0.2500, 0.2500, 0.5000)
Ca (0.7500, 0.7500, 0.5000)

- Distance to the lowest polymorph of the same formula: 0 meV per atom

VASP calculation (GGA+U) on La4Mn5Si4O22 after structural relaxation.

Unit cell a=7.6276 b=7.6276 c=11.8172 alpha=112.46 beta=112.46 gamma=43.71
Fractional positions:
La (0.0516, 0.0516, 0.2479)
La (0.2381, 0.2381, 0.7614)
La (0.7619, 0.7619, 0.2386)
La (0.9484, 0.9484, 0.7521)
Mn (0.2511, 0.7489, 0.5000)
Mn (0.2676, 0.2676, 0.5010)
Mn (0.5000, 0.5000, 0.0000)
Mn (0.7324, 0.7324, 0.4990)
Mn (0.7489, 0.2511, 0.5000)
Si (0.1652, 0.1652, 0.0505)
Si (0.4129, 0.4129, 0.2365)
Si (0.5871, 0.5871, 0.7635)
Si (0.8348, 0.8348, 0.9495)
O (0.0388, 0.5413, 0.6245)
O (0.0879, 0.0879, 0.4871)
O (0.1078, 0.6475, 0.8998)
O (0.1350, 0.1350, 0.9030)
O (0.1801, 0.6715, 0.3184)
O (0.2920, 0.2920, 0.1342)
O (0.3285, 0.8199, 0.6816)
O (0.3525, 0.8922, 0.1002)
O (0.4155, 0.4155, 0.5122)
O (0.4587, 0.9612, 0.3755)
O (0.4967, 0.4967, 0.1781)
O (0.5033, 0.5033, 0.8219)
O (0.5413, 0.0388, 0.6245)
O (0.5845, 0.5845, 0.4878)
O (0.6475, 0.1078, 0.8998)
O (0.6715, 0.1801, 0.3184)
O (0.7080, 0.7080, 0.8658)
O (0.8199, 0.3285, 0.6816)
O (0.8650, 0.8650, 0.0970)
O (0.8922, 0.3525, 0.1002)
O (0.9121, 0.9121, 0.5129)
O (0.9612, 0.4587, 0.3755)

- Magnetization: 0.543 μB/atom
- SG: No. 12
- Total energy: -7.97 eV/atom

VASP calculation (GGA+U) on MnI2O4 after structural relaxation.

Unit cell a=5.9442 b=7.2156 c=8.5259 alpha=90.00 beta=129.44 gamma=90.00
Fractional positions:
Mn (0.0000, 0.0000, 0.0000)
Mn (0.0000, 0.5000, 0.5000)
I (0.3099, 0.1147, 0.5152)
I (0.3099, 0.3853, 0.0152)
I (0.6901, 0.6147, 0.9848)
I (0.6901, 0.8853, 0.4848)
O (0.0363, 0.1167, 0.2118)
O (0.0363, 0.3833, 0.7118)
O (0.3610, 0.6223, 0.6867)
O (0.3610, 0.8777, 0.1867)
O (0.6390, 0.1223, 0.8133)
O (0.6390, 0.3777, 0.3133)
O (0.9637, 0.6167, 0.2882)
O (0.9637, 0.8833, 0.7882)

- Magnetization: 0.434 μB/atom
- Distance to the lowest polymorph of the same formula: 8 meV per atom
- SG: No. 14

VASP calculation (GGA+U) on TaMnO4 after structural relaxation.

Unit cell a=6.8096 b=7.7158 c=7.0406 alpha=60.87 beta=94.01 gamma=65.24
Fractional positions:
Ta (0.2010, 0.3326, 0.9538)
Ta (0.7990, 0.6674, 0.0462)
Ta (0.7008, 0.3326, 0.4537)
Ta (0.2992, 0.6674, 0.5463)
O (0.5830, 0.1332, 0.5168)
O (0.2736, 0.6048, 0.8399)
O (0.0832, 0.1331, 0.0167)
O (0.7264, 0.3952, 0.1601)
O (0.2264, 0.3952, 0.6601)
O (0.9630, 0.8856, 0.3776)
O (0.4630, 0.8855, 0.8777)
O (0.3677, 0.6199, 0.2890)
O (0.7736, 0.6048, 0.3399)
O (0.5370, 0.1145, 0.1223)
O (0.4170, 0.8668, 0.4832)
O (0.9168, 0.8669, 0.9833)
O (0.1323, 0.3800, 0.2110)
O (0.8677, 0.6200, 0.7890)
O (0.6323, 0.3801, 0.7110)
O (0.0370, 0.1144, 0.6224)
Mn (0.7953, 0.1556, 0.0483)
Mn (0.2953, 0.1558, 0.5482)
Mn (0.7047, 0.8442, 0.4518)
Mn (0.2047, 0.8444, 0.9517)

- Total energy: -8.85 eV/atom